A plane-wave DFT calculation with GGA-PBE was carried out for SN after structural relaxation.

abc: 3.1533 5.0318 8.9890
angles: 90.00 91.61 90.00
Closest atoms and distances in Å follow each position.
Positions (direct):
S  0.2178  0.1973  0.3679  1 N 1.49
S  0.2178  0.3027  0.8679  1 N 1.49
S  0.7822  0.6973  0.1321  1 N 1.49
S  0.7822  0.8027  0.6321  1 N 1.49
N  0.2266  0.5972  0.8463  1 S 1.49
N  0.2266  0.9028  0.3463  1 S 1.49
N  0.7734  0.0972  0.6537  1 S 1.49
N  0.7734  0.4028  0.1537  1 S 1.49

Summary:
Size of the total moment: 0.00 Bohr magnetons per cell
E_tot: -5.247 eV per atom
Formation enthalpy at 0 K: 809.0 meV/atom

A plane-wave DFT calculation with GGA-PBE was carried out for SN after structural relaxation.

abc: 4.6348 5.9463 30.4212
angles: 93.14 90.28 90.15
Closest atoms and distances in Å follow each position.
Positions (direct):
S  0.0000  0.0000  0.0000  2 N 1.59-1.62
S  0.0072  0.9030  0.8440  1 N 1.48
S  0.0725  0.1751  0.3167  1 N 1.59
S  0.2113  0.3181  0.1198  1 N 1.58
S  0.2199  0.4343  0.9277  2 N 1.58-1.63
S  0.2731  0.6700  0.5773  1 N 1.64
S  0.3174  0.5027  0.2092  3 N 1.59-1.71
S  0.4103  0.7451  0.7069  2 N 1.59-1.61
S  0.4314  0.7915  0.0551  2 N 1.59-1.62
S  0.4999  0.2736  0.4465  2 N 1.59-1.62
S  0.5108  0.3680  0.6025  1 N 1.48
S  0.5744  0.1016  0.1302  1 N 1.59
S  0.7113  0.9549  0.3264  1 N 1.58
S  0.7202  0.8407  0.5189  2 N 1.58-1.63
S  0.7690  0.6013  0.8691  1 N 1.64
S  0.8192  0.7694  0.2373  3 N 1.59-1.71
S  0.9087  0.5243  0.7395  2 N 1.61-1.63
S  0.9301  0.4840  0.3917  2 N 1.59-1.62
N  0.0118  0.7990  0.9620  1 N 1.31
N  0.0163  0.4284  0.8858  2 S 1.58-1.64
N  0.0242  0.5359  0.2357  2 S 1.59-1.68
N  0.0929  0.3957  0.3483  2 S 1.59
N  0.1948  0.6335  0.9664  1 N 1.31
N  0.2076  0.9850  0.0416  2 S 1.59-1.62
N  0.2360  0.5245  0.1546  2 S 1.58-1.71
N  0.2506  0.5564  0.7339  2 S 1.61
N  0.3258  0.8931  0.8450  1 S 1.48
N  0.5139  0.4742  0.4846  1 N 1.31
N  0.5191  0.8439  0.5608  2 S 1.58-1.64
N  0.5241  0.7358  0.2109  2 S 1.59-1.68
N  0.5945  0.8798  0.0989  2 S 1.59
N  0.6948  0.6415  0.4802  1 N 1.31
N  0.7042  0.2904  0.4049  2 S 1.59-1.62
N  0.7425  0.7476  0.2920  2 S 1.58-1.71
N  0.7494  0.7161  0.7117  2 S 1.59-1.63
N  0.8301  0.3786  0.6015  1 S 1.48

Summary:
Size of the total moment: 0.07 Bohr magnetons per cell
E_tot: -5.547 eV per atom
Formation enthalpy at 0 K: 508.8 meV/atom

A plane-wave DFT calculation with GGA-PBE was carried out for S2N after structural relaxation.

abc: 11.8684 11.8684 4.2480
angles: 90.00 90.00 90.00
Closest atoms and distances in Å follow each position.
Positions (direct):
S  0.1175  0.1175  0.2984  2 N 1.58
S  0.1514  0.6538  0.0000  1 N 1.66
S  0.1538  0.3486  0.5000  1 N 1.66
S  0.1809  0.8191  0.8620  2 S 2.08
S  0.3191  0.3191  0.3620  2 S 2.08
S  0.3462  0.8486  0.0000  1 N 1.66
S  0.3486  0.1538  0.5000  1 N 1.66
S  0.3825  0.6175  0.7984  2 N 1.58
S  0.6175  0.3825  0.7984  2 N 1.58
S  0.6514  0.8462  0.5000  1 N 1.66
S  0.6538  0.1514  0.0000  1 N 1.66
S  0.6809  0.6809  0.3620  2 S 2.08
S  0.8191  0.1809  0.8620  2 S 2.08
S  0.8462  0.6514  0.5000  1 N 1.66
S  0.8486  0.3462  0.0000  1 N 1.66
S  0.8825  0.8825  0.2984  2 N 1.58
N  0.0790  0.2437  0.3492  2 S 1.58-1.66
N  0.2437  0.0790  0.3492  2 S 1.58-1.66
N  0.2563  0.5790  0.8492  2 S 1.58-1.66
N  0.4210  0.7437  0.8492  2 S 1.58-1.66
N  0.5790  0.2563  0.8492  2 S 1.58-1.66
N  0.7437  0.4210  0.8492  2 S 1.58-1.66
N  0.7563  0.9210  0.3492  2 S 1.58-1.66
N  0.9210  0.7563  0.3492  2 S 1.58-1.66

Summary:
Size of the total moment: 0.00 Bohr magnetons per cell
E_tot: -5.108 eV per atom
Formation enthalpy at 0 K: 307.9 meV/atom
Maximum piezoelectric response: 0.06 C/m²

A plane-wave DFT calculation with GGA-PBE was carried out for S3N after structural relaxation.

abc: 8.4105 13.3801 14.6220
angles: 90.00 90.00 90.00
Closest atoms and distances in Å follow each position.
Positions (direct):
S  0.0376  0.2213  0.2315  2 S 2.06-2.07
S  0.0376  0.2787  0.7315  2 S 2.06-2.07
S  0.0938  0.5699  0.1148  2 S 2.06-2.07
S  0.0938  0.9301  0.6148  2 S 2.06-2.07
S  0.0994  0.1430  0.7883  1 N 1.64
S  0.0994  0.3570  0.2883  1 N 1.64
S  0.0991  0.6306  0.5361  2 N 1.56-1.57
S  0.0991  0.8694  0.0361  2 N 1.56-1.57
S  0.1058  0.6459  0.9917  1 N 1.65
S  0.1058  0.8541  0.4917  1 N 1.65
S  0.1094  0.1022  0.3117  2 S 2.06-2.07
S  0.1094  0.3978  0.8117  2 S 2.06-2.07
S  0.3906  0.6022  0.3117  2 S 2.06-2.07
S  0.3906  0.8978  0.8117  2 S 2.06-2.07
S  0.3942  0.1459  0.9917  1 N 1.65
S  0.3942  0.3541  0.4917  1 N 1.65
S  0.4009  0.1306  0.5361  2 N 1.56-1.57
S  0.4009  0.3694  0.0361  2 N 1.56-1.57
S  0.4006  0.6430  0.7883  1 N 1.64
S  0.4006  0.8570  0.2883  1 N 1.64
S  0.4062  0.0699  0.1148  2 S 2.06-2.07
S  0.4062  0.4301  0.6148  2 S 2.06-2.07
S  0.4624  0.7213  0.2315  2 S 2.06-2.07
S  0.4624  0.7787  0.7315  2 S 2.06-2.07
S  0.5376  0.2213  0.2685  2 S 2.06-2.07
S  0.5376  0.2787  0.7685  2 S 2.06-2.07
S  0.5938  0.5699  0.3852  2 S 2.06-2.07
S  0.5938  0.9301  0.8852  2 S 2.06-2.07
S  0.5994  0.1430  0.7117  1 N 1.64
S  0.5994  0.3570  0.2117  1 N 1.64
S  0.5991  0.6306  0.9639  2 N 1.56-1.57
S  0.5991  0.8694  0.4639  2 N 1.56-1.57
S  0.6058  0.6459  0.5083  1 N 1.65
S  0.6058  0.8541  0.0083  1 N 1.65
S  0.6094  0.1022  0.1883  2 S 2.06-2.07
S  0.6094  0.3978  0.6883  2 S 2.06-2.07
S  0.8906  0.6022  0.1883  2 S 2.06-2.07
S  0.8906  0.8978  0.6883  2 S 2.06-2.07
S  0.8942  0.1459  0.5083  1 N 1.65
S  0.8942  0.3541  0.0083  1 N 1.65
S  0.9009  0.1306  0.9639  2 N 1.56-1.57
S  0.9009  0.3694  0.4639  2 N 1.56-1.57
S  0.9006  0.6430  0.7117  1 N 1.64
S  0.9006  0.8570  0.2117  1 N 1.64
S  0.9062  0.0699  0.3852  2 S 2.06-2.07
S  0.9062  0.4301  0.8852  2 S 2.06-2.07
S  0.9624  0.7213  0.2685  2 S 2.06-2.07
S  0.9624  0.7787  0.7685  2 S 2.06-2.07
N  0.0164  0.6034  0.6287  2 S 1.57-1.64
N  0.0164  0.8966  0.1287  2 S 1.57-1.64
N  0.1512  0.7346  0.4990  2 S 1.56-1.65
N  0.1512  0.7654  0.9990  2 S 1.56-1.65
N  0.3488  0.2346  0.4990  2 S 1.56-1.65
N  0.3488  0.2654  0.9990  2 S 1.56-1.65
N  0.4836  0.1034  0.6287  2 S 1.57-1.64
N  0.4836  0.3966  0.1287  2 S 1.57-1.64
N  0.5164  0.6034  0.8713  2 S 1.57-1.64
N  0.5164  0.8966  0.3713  2 S 1.57-1.64
N  0.6512  0.7346  0.0010  2 S 1.56-1.65
N  0.6512  0.7654  0.5010  2 S 1.56-1.65
N  0.8488  0.2346  0.0010  2 S 1.56-1.65
N  0.8488  0.2654  0.5010  2 S 1.56-1.65
N  0.9836  0.1034  0.8713  2 S 1.57-1.64
N  0.9836  0.3966  0.3713  2 S 1.57-1.64

Summary:
Size of the total moment: 0.00 Bohr magnetons per cell
E_tot: -4.837 eV per atom
Excess energy over the best structure of this formula in the dataset: 0.000 eV per atom
Formation enthalpy at 0 K: 258.9 meV/atom

A plane-wave DFT calculation with GGA-PBE was carried out for SN after structural relaxation.

abc: 8.0957 13.2279 7.1724
angles: 90.00 90.00 90.00
Closest atoms and distances in Å follow each position.
Positions (direct):
S  0.0871  0.1344  0.1898  2 N 1.60
S  0.0871  0.3656  0.1898  2 N 1.60
S  0.1832  0.1342  0.7754  2 N 1.59
S  0.1832  0.3658  0.7754  2 N 1.59
S  0.3168  0.6342  0.2754  2 N 1.59
S  0.3168  0.8658  0.2754  2 N 1.59
S  0.4129  0.6344  0.6898  2 N 1.60
S  0.4129  0.8656  0.6898  2 N 1.60
S  0.5871  0.1344  0.3102  2 N 1.60
S  0.5871  0.3656  0.3102  2 N 1.60
S  0.6832  0.1342  0.7246  2 N 1.59
S  0.6832  0.3658  0.7246  2 N 1.59
S  0.8168  0.6342  0.2246  2 N 1.59
S  0.8168  0.8658  0.2246  2 N 1.59
S  0.9129  0.6344  0.8102  2 N 1.60
S  0.9129  0.8656  0.8102  2 N 1.60
N  0.0539  0.2500  0.2425  2 S 1.60
N  0.1348  0.1020  0.9824  2 S 1.59-1.60
N  0.1348  0.3980  0.9824  2 S 1.59-1.60
N  0.1929  0.2500  0.7149  2 S 1.59
N  0.3071  0.7500  0.2149  2 S 1.59
N  0.3652  0.6020  0.4824  2 S 1.59-1.60
N  0.3652  0.8980  0.4824  2 S 1.59-1.60
N  0.4461  0.7500  0.7425  2 S 1.60
N  0.5539  0.2500  0.2575  2 S 1.60
N  0.6348  0.1020  0.5176  2 S 1.59-1.60
N  0.6348  0.3980  0.5176  2 S 1.59-1.60
N  0.6929  0.2500  0.7851  2 S 1.59
N  0.8071  0.7500  0.2851  2 S 1.59
N  0.8652  0.6020  0.0176  2 S 1.59-1.60
N  0.8652  0.8980  0.0176  2 S 1.59-1.60
N  0.9461  0.7500  0.7575  2 S 1.60

Summary:
Size of the total moment: 8.00 Bohr magnetons per cell
E_tot: -5.575 eV per atom
Formation enthalpy at 0 K: 481.1 meV/atom

A plane-wave DFT calculation with GGA-PBE was carried out for S3N2 after structural relaxation.

abc: 8.7601 5.1574 4.3137
angles: 90.00 90.00 90.00
Closest atoms and distances in Å follow each position.
Positions (direct):
S  0.0000  0.2131  0.0000  2 N 1.72
S  0.2256  0.8024  0.9179  2 N 1.67-1.79
S  0.2744  0.1976  0.4179  2 N 1.67-1.79
S  0.5000  0.7869  0.5000  2 N 1.72
S  0.7256  0.1976  0.4179  2 N 1.67-1.79
S  0.7744  0.8024  0.9179  2 N 1.67-1.79
N  0.1571  0.0462  0.1298  3 S 1.67-1.79
N  0.3429  0.9538  0.6298  3 S 1.67-1.79
N  0.6571  0.9538  0.6298  3 S 1.67-1.79
N  0.8429  0.0462  0.1298  3 S 1.67-1.79

Summary:
Size of the total moment: 0.00 Bohr magnetons per cell
E_tot: -5.226 eV per atom
Formation enthalpy at 0 K: 445.9 meV/atom

A plane-wave DFT calculation with GGA-PBE was carried out for SbS4N3 after structural relaxation.

abc: 5.6300 6.3392 6.6942
angles: 111.74 91.39 108.04
Closest atoms and distances in Å follow each position.
Positions (direct):
Sb  0.0000  0.0000  0.0000  1 N 2.06
S  0.0188  0.1367  0.4094  1 N 1.61
S  0.0809  0.7065  0.4124  1 N 1.49
S  0.6255  0.1893  0.0373  1 S 2.04
S  0.6500  0.4262  0.8931  1 N 1.58
N  0.1818  0.0125  0.4991  2 S 1.61-1.70
N  0.2821  0.6019  0.4207  1 S 1.49
N  0.8786  0.6686  0.0209  1 S 1.58

Summary:
Size of the total moment: 0.00 Bohr magnetons per cell
E_tot: -5.035 eV per atom
Excess energy over the best structure of this formula in the dataset: 0.000 eV per atom
Formation enthalpy at 0 K: 539.9 meV/atom

A plane-wave DFT calculation with GGA-PBE was carried out for SbS2N after structural relaxation.

abc: 6.1224 7.3236 10.5019
angles: 81.51 76.74 74.41
Closest atoms and distances in Å follow each position.
Positions (direct):
Sb  0.0721  0.1654  0.0992  1 N 2.20, 2 S 2.46
Sb  0.3344  0.8224  0.6277  3 S 2.46-2.53
Sb  0.6656  0.1776  0.3723  3 S 2.46-2.53
Sb  0.9279  0.8346  0.9008  1 N 2.20, 2 S 2.46
S  0.0294  0.2820  0.3136  2 Sb 2.46
S  0.1158  0.1610  0.6685  1 N 1.70
S  0.3513  0.7635  0.8680  2 Sb 2.46-2.52
S  0.3773  0.7693  0.2034  1 N 1.48
S  0.6227  0.2307  0.7966  1 N 1.48
S  0.6487  0.2365  0.1320  2 Sb 2.46-2.52
S  0.8842  0.8390  0.3315  1 N 1.70
S  0.9706  0.7180  0.6864  2 Sb 2.46
N  0.0871  0.8758  0.1961  2 S 1.70-1.75
N  0.4301  0.6703  0.3303  1 S 1.48
N  0.5699  0.3297  0.6697  1 S 1.48
N  0.9129  0.1242  0.8039  2 S 1.70-1.75

Summary:
Size of the total moment: 0.00 Bohr magnetons per cell
E_tot: -4.880 eV per atom
Excess energy over the best structure of this formula in the dataset: 0.078 eV per atom
Formation enthalpy at 0 K: 213.9 meV/atom

A plane-wave DFT calculation with GGA-PBE was carried out for SbS2N after structural relaxation.

abc: 5.8727 7.6143 9.8552
angles: 82.87 80.42 68.58
Closest atoms and distances in Å follow each position.
Positions (direct):
Sb  0.0872  0.1654  0.1050  1 N 2.30, 2 S 2.40-2.44
Sb  0.3735  0.7032  0.6175  1 N 2.24
Sb  0.6265  0.2968  0.3825  1 N 2.24
Sb  0.9128  0.8346  0.8950  1 N 2.30, 2 S 2.40-2.44
S  0.0423  0.3274  0.3119  2 Sb 2.44-2.51
S  0.1195  0.1060  0.6348  1 N 1.66
S  0.3536  0.7311  0.8847  2 Sb 2.40-2.65
S  0.3913  0.7380  0.2425  2 N 1.54-1.66
S  0.6087  0.2620  0.7575  2 N 1.54-1.66
S  0.6464  0.2689  0.1153  2 Sb 2.40-2.65
S  0.8805  0.8940  0.3652  1 N 1.66
S  0.9577  0.6726  0.6881  2 Sb 2.44-2.51
N  0.1059  0.8921  0.2390  2 S 1.66
N  0.4167  0.6092  0.3765  1 S 1.54
N  0.5833  0.3908  0.6235  1 S 1.54
N  0.8941  0.1079  0.7610  2 S 1.66

Summary:
Size of the total moment: 0.00 Bohr magnetons per cell
E_tot: -4.959 eV per atom
Excess energy over the best structure of this formula in the dataset: 0.000 eV per atom
Formation enthalpy at 0 K: 135.8 meV/atom

A plane-wave DFT calculation with GGA-PBE was carried out for Sb4S3N2 after structural relaxation.

abc: 7.6060 7.6060 9.2008
angles: 120.45 120.45 28.18
Closest atoms and distances in Å follow each position.
Positions (direct):
Sb  0.1390  0.1390  0.3652  3 N 2.18-2.24
Sb  0.3399  0.3399  0.2673  1 N 2.16
Sb  0.6601  0.6601  0.7327  1 N 2.16
Sb  0.8610  0.8610  0.6348  3 N 2.18-2.24
S  0.0000  0.0000  0.5000  6 Sb 2.88-2.90
S  0.3048  0.3048  0.8597  2 Sb 2.60
S  0.6952  0.6952  0.1403  2 Sb 2.60
N  0.3103  0.3103  0.4733  4 Sb 2.16-2.24
N  0.6897  0.6897  0.5267  4 Sb 2.16-2.24

Summary:
Size of the total moment: 0.01 Bohr magnetons per cell
E_tot: -5.065 eV per atom
Formation enthalpy at 0 K: -246.0 meV/atom

A plane-wave DFT calculation with GGA-PBE was carried out for SbS4N3 after structural relaxation.

abc: 5.6048 6.3209 6.8980
angles: 115.24 94.92 101.09
Closest atoms and distances in Å follow each position.
Positions (direct):
Sb  0.0000  0.0000  0.0000  1 N 2.05
S  0.0273  0.1672  0.4111  1 N 1.61
S  0.0866  0.7283  0.4116  1 N 1.49
S  0.6392  0.2245  0.0271  1 S 2.04
S  0.6589  0.4510  0.8862  1 N 1.58
N  0.1872  0.0309  0.5010  2 S 1.61-1.70
N  0.2825  0.6071  0.4357  1 S 1.49
N  0.8797  0.6845  0.0216  1 S 1.58

Summary:
Size of the total moment: 0.00 Bohr magnetons per cell
E_tot: -5.035 eV per atom
Excess energy over the best structure of this formula in the dataset: 0.001 eV per atom
Formation enthalpy at 0 K: 540.7 meV/atom

A plane-wave DFT calculation with GGA-PBE was carried out for Sc4S3N2 after structural relaxation.

abc: 6.4004 13.6316 3.5593
angles: 90.00 90.00 90.00
Closest atoms and distances in Å follow each position.
Positions (direct):
Sc  0.2045  0.0637  0.0000  2 N 2.07-2.09
Sc  0.2068  0.8466  0.5000  2 N 2.10
Sc  0.2932  0.3466  0.0000  2 N 2.10
Sc  0.2955  0.5637  0.5000  2 N 2.07-2.09
Sc  0.7045  0.4363  0.5000  2 N 2.07-2.09
Sc  0.7068  0.6534  0.0000  2 N 2.10
Sc  0.7932  0.1534  0.5000  2 N 2.10
Sc  0.7955  0.9363  0.0000  2 N 2.07-2.09
S  0.0000  0.5000  0.0000  6 Sc 2.74-2.81
S  0.1866  0.2064  0.5000  5 Sc 2.62-2.70
S  0.3134  0.7064  0.0000  5 Sc 2.62-2.70
S  0.5000  0.0000  0.5000  6 Sc 2.74-2.81
S  0.6866  0.2936  0.0000  5 Sc 2.62-2.70
S  0.8134  0.7936  0.5000  5 Sc 2.62-2.70
N  0.1202  0.9173  0.0000  4 Sc 2.07-2.10
N  0.3798  0.4173  0.5000  4 Sc 2.07-2.10
N  0.6202  0.5827  0.5000  4 Sc 2.07-2.10
N  0.8798  0.0827  0.0000  4 Sc 2.07-2.10

Summary:
Size of the total moment: 0.00 Bohr magnetons per cell
E_tot: -7.845 eV per atom
Excess energy over the best structure of this formula in the dataset: 0.072 eV per atom
Formation enthalpy at 0 K: -2047.1 meV/atom

Copy entry 1 word for word.
A plane-wave DFT calculation with GGA-PBE was carried out for SN after structural relaxation.

abc: 3.1533 5.0318 8.9890
angles: 90.00 91.61 90.00
Closest atoms and distances in Å follow each position.
Positions (direct):
S  0.2178  0.1973  0.3679  1 N 1.49
S  0.2178  0.3027  0.8679  1 N 1.49
S  0.7822  0.6973  0.1321  1 N 1.49
S  0.7822  0.8027  0.6321  1 N 1.49
N  0.2266  0.5972  0.8463  1 S 1.49
N  0.2266  0.9028  0.3463  1 S 1.49
N  0.7734  0.0972  0.6537  1 S 1.49
N  0.7734  0.4028  0.1537  1 S 1.49

Summary:
Size of the total moment: 0.00 Bohr magnetons per cell
E_tot: -5.247 eV per atom
Formation enthalpy at 0 K: 809.0 meV/atom